# 1
# Na10Ta7AlSi12O48

An optimized crystal structure of Na10Ta7AlSi12O48 (GGA-PBE, Materials Project).

Energy of formation from the pure elements, eV per atom: -3.108
Energy, eV/cell: -1836.02
Spin magnetization, μB/cell: 0.00
Corrected total energy (MP2020 scheme), eV/cell: -1934.95
Space group: P1 (1)

Unit cell a=8.965 b=15.525 c=22.526 alpha=90.01 beta=90.02 gamma=90.04
Positions (direct):
Na (0.000, 0.000, 0.000)
Na (0.001, 0.030, 0.335)
Na (0.010, 0.365, 0.998)
Na (0.125, 0.865, 0.498)
Na (0.136, 0.531, 0.835)
Na (0.137, 0.167, 0.834)
Na (0.140, 0.495, 0.498)
Na (0.187, 0.188, 0.497)
Na (0.303, 0.681, 0.249)
Na (0.316, 0.349, 0.083)
Na (0.317, 0.349, 0.584)
Na (0.321, 0.020, 0.416)
Na (0.322, 0.686, 0.750)
Na (0.326, 0.008, 0.915)
Na (0.445, 0.188, 0.997)
Na (0.455, 0.848, 0.335)
Na (0.494, 0.495, 0.997)
Na (0.500, 0.529, 0.335)
Na (0.625, 0.365, 0.498)
Na (0.634, 0.699, 0.167)
Na (0.640, 0.995, 0.498)
Na (0.679, 0.350, 0.835)
Na (0.686, 0.688, 0.497)
Na (0.809, 0.183, 0.248)
Na (0.812, 0.178, 0.748)
Na (0.816, 0.524, 0.917)
Na (0.817, 0.849, 0.083)
Na (0.817, 0.850, 0.584)
Na (0.821, 0.519, 0.416)
Na (0.956, 0.348, 0.334)
Ta (0.314, 0.682, 0.105)
Ta (0.314, 0.682, 0.396)
Ta (0.316, 0.683, 0.607)
Ta (0.317, 0.016, 0.565)
Ta (0.317, 0.348, 0.228)
Ta (0.318, 0.349, 0.728)
Ta (0.319, 0.014, 0.064)
Ta (0.319, 0.018, 0.272)
Ta (0.320, 0.685, 0.895)
Ta (0.321, 0.014, 0.772)
Ta (0.813, 0.183, 0.396)
Ta (0.813, 0.518, 0.771)
Ta (0.814, 0.180, 0.896)
Ta (0.815, 0.846, 0.938)
Ta (0.817, 0.516, 0.565)
Ta (0.817, 0.850, 0.728)
Ta (0.818, 0.182, 0.606)
Ta (0.818, 0.184, 0.106)
Ta (0.819, 0.518, 0.063)
Ta (0.820, 0.517, 0.272)
Ta (0.822, 0.852, 0.229)
Al (0.317, 0.349, 0.437)
Al (0.318, 0.350, 0.937)
Al (0.817, 0.849, 0.437)
Si (0.025, 0.685, 0.500)
Si (0.028, 0.017, 0.167)
Si (0.034, 0.350, 0.837)
Si (0.100, 0.848, 0.337)
Si (0.107, 0.516, 0.668)
Si (0.109, 0.185, 0.000)
Si (0.171, 0.871, 0.668)
Si (0.172, 0.826, 0.000)
Si (0.173, 0.161, 0.669)
Si (0.174, 0.536, 0.998)
Si (0.176, 0.490, 0.337)
Si (0.179, 0.207, 0.338)
Si (0.457, 0.207, 0.837)
Si (0.459, 0.491, 0.837)
Si (0.459, 0.535, 0.500)
Si (0.462, 0.161, 0.166)
Si (0.462, 0.871, 0.169)
Si (0.467, 0.827, 0.500)
Si (0.525, 0.185, 0.501)
Si (0.527, 0.514, 0.167)
Si (0.530, 0.849, 0.833)
Si (0.598, 0.348, 0.337)
Si (0.605, 0.684, 0.001)
Si (0.608, 0.016, 0.667)
Si (0.667, 0.327, 0.000)
Si (0.671, 0.662, 0.667)
Si (0.672, 0.037, 0.002)
Si (0.672, 0.370, 0.668)
Si (0.674, 0.991, 0.338)
Si (0.679, 0.707, 0.337)
Si (0.959, 0.035, 0.500)
Si (0.962, 0.372, 0.167)
Si (0.962, 0.706, 0.833)
Si (0.962, 0.992, 0.834)
Si (0.965, 0.661, 0.168)
Si (0.967, 0.327, 0.500)
O (0.001, 0.165, 0.942)
O (0.001, 0.502, 0.609)
O (0.001, 0.529, 0.727)
O (0.133, 0.002, 0.108)
O (0.133, 0.028, 0.227)
O (0.136, 0.368, 0.895)
O (0.136, 0.700, 0.557)
O (0.137, 0.665, 0.444)
O (0.139, 0.331, 0.779)
O (0.141, 0.363, 0.174)
O (0.142, 0.007, 0.829)
O (0.142, 0.691, 0.840)
O (0.143, 0.029, 0.506)
O (0.144, 0.670, 0.162)
O (0.146, 0.338, 0.494)
O (0.198, 0.431, 0.395)
O (0.201, 0.269, 0.279)
O (0.202, 0.597, 0.940)
O (0.204, 0.101, 0.727)
O (0.204, 0.930, 0.608)
O (0.207, 0.766, 0.058)
O (0.209, 0.430, 0.674)
O (0.209, 0.602, 0.660)
O (0.210, 0.097, 0.007)
O (0.210, 0.934, 0.328)
O (0.213, 0.270, 0.993)
O (0.215, 0.765, 0.341)
O (0.243, 0.108, 0.329)
O (0.244, 0.924, 0.007)
O (0.246, 0.114, 0.609)
O (0.247, 0.250, 0.397)
O (0.248, 0.780, 0.943)
O (0.248, 0.919, 0.724)
O (0.250, 0.255, 0.674)
O (0.250, 0.777, 0.660)
O (0.251, 0.441, 0.994)
O (0.253, 0.585, 0.056)
O (0.254, 0.447, 0.278)
O (0.254, 0.586, 0.341)
O (0.380, 0.447, 0.779)
O (0.380, 0.584, 0.556)
O (0.381, 0.112, 0.828)
O (0.381, 0.250, 0.895)
O (0.381, 0.587, 0.841)
O (0.383, 0.784, 0.442)
O (0.384, 0.255, 0.174)
O (0.385, 0.441, 0.493)
O (0.385, 0.922, 0.506)
O (0.388, 0.115, 0.107)
O (0.389, 0.916, 0.228)
O (0.391, 0.774, 0.162)
O (0.421, 0.270, 0.493)
O (0.422, 0.430, 0.173)
O (0.423, 0.097, 0.506)
O (0.424, 0.935, 0.828)
O (0.425, 0.764, 0.841)
O (0.427, 0.099, 0.224)
O (0.428, 0.932, 0.111)
O (0.430, 0.603, 0.161)
O (0.432, 0.763, 0.556)
O (0.434, 0.269, 0.779)
O (0.437, 0.431, 0.895)
O (0.437, 0.599, 0.441)
O (0.489, 0.337, 0.993)
O (0.491, 0.032, 0.007)
O (0.492, 0.000, 0.328)
O (0.492, 0.363, 0.674)
O (0.492, 0.669, 0.660)
O (0.494, 0.696, 0.341)
O (0.496, 0.334, 0.278)
O (0.496, 0.665, 0.945)
O (0.497, 0.030, 0.724)
O (0.499, 0.368, 0.395)
O (0.502, 0.002, 0.608)
O (0.504, 0.697, 0.061)
O (0.633, 0.503, 0.108)
O (0.635, 0.532, 0.225)
O (0.637, 0.165, 0.444)
O (0.637, 0.200, 0.557)
O (0.637, 0.835, 0.776)
O (0.637, 0.863, 0.892)
O (0.641, 0.199, 0.842)
O (0.641, 0.500, 0.828)
O (0.642, 0.169, 0.160)
O (0.642, 0.858, 0.174)
O (0.643, 0.529, 0.506)
O (0.646, 0.838, 0.494)
O (0.698, 0.931, 0.395)
O (0.700, 0.101, 0.944)
O (0.701, 0.766, 0.276)
O (0.702, 0.263, 0.056)
O (0.705, 0.431, 0.609)
O (0.705, 0.595, 0.007)
O (0.707, 0.599, 0.724)
O (0.709, 0.434, 0.328)
O (0.710, 0.102, 0.660)
O (0.710, 0.930, 0.673)
O (0.712, 0.768, 0.995)
O (0.715, 0.266, 0.341)
O (0.743, 0.608, 0.328)
O (0.745, 0.615, 0.608)
O (0.746, 0.417, 0.726)
O (0.747, 0.751, 0.395)
O (0.748, 0.422, 0.006)
O (0.749, 0.756, 0.673)
O (0.750, 0.277, 0.660)
O (0.752, 0.283, 0.942)
O (0.752, 0.947, 0.279)
O (0.753, 0.084, 0.058)
O (0.753, 0.944, 0.995)
O (0.755, 0.086, 0.341)
O (0.880, 0.753, 0.174)
O (0.881, 0.084, 0.556)
O (0.883, 0.284, 0.442)
O (0.883, 0.615, 0.111)
O (0.884, 0.277, 0.160)
O (0.885, 0.422, 0.506)
O (0.885, 0.941, 0.493)
O (0.885, 0.946, 0.777)
O (0.887, 0.751, 0.892)
O (0.888, 0.417, 0.226)
O (0.890, 0.090, 0.841)
O (0.891, 0.608, 0.828)
O (0.921, 0.770, 0.493)
O (0.923, 0.597, 0.506)
O (0.924, 0.102, 0.161)
O (0.924, 0.434, 0.828)
O (0.924, 0.930, 0.174)
O (0.925, 0.263, 0.841)
O (0.928, 0.431, 0.109)
O (0.929, 0.600, 0.225)
O (0.929, 0.766, 0.776)
O (0.931, 0.935, 0.894)
O (0.932, 0.264, 0.556)
O (0.936, 0.099, 0.441)
O (0.991, 0.862, 0.673)
O (0.992, 0.525, 0.007)
O (0.992, 0.841, 0.995)
O (0.993, 0.169, 0.660)
O (0.993, 0.500, 0.328)
O (0.994, 0.195, 0.342)
O (0.996, 0.200, 0.056)
O (0.997, 0.834, 0.278)
O (0.998, 0.868, 0.395)



# 2
# Li3Cu3P2O8

An optimized crystal structure of Li3Cu3P2O8 (GGA-PBE, Materials Project).

Energy of formation from the pure elements, eV per atom: -1.623
Polymorph energy (0 for the lowest one), meV per atom: 453
Energy, eV/cell: -88.91
Spin magnetization, μB/cell: 0.00
Corrected total energy (MP2020 scheme), eV/cell: -94.41
Space group: P1 (1)

Unit cell a=5.116 b=5.406 c=6.243 alpha=90.15 beta=90.08 gamma=90.32
Positions (direct):
Li (0.000, 0.000, 0.000)
Li (0.172, 0.752, 0.498)
Li (0.653, 0.498, 0.497)
Cu (0.510, 0.252, 0.998)
Cu (0.663, 0.012, 0.497)
Cu (0.995, 0.501, 0.009)
P (0.146, 0.251, 0.502)
P (0.496, 0.751, 0.003)
O (0.009, 0.458, 0.411)
O (0.028, 0.043, 0.386)
O (0.137, 0.240, 0.805)
O (0.228, 0.764, 0.893)
O (0.422, 0.264, 0.408)
O (0.496, 0.740, 0.306)
O (0.628, 0.550, 0.883)
O (0.648, 0.952, 0.910)



# 3
# KH4O2F

An optimized crystal structure of KH4O2F (GGA-PBE, Materials Project).

Energy of formation from the pure elements, eV per atom: -1.692
Energy, eV/cell: -76.38
Spin magnetization, μB/cell: 0.00
Corrected total energy (MP2020 scheme), eV/cell: -80.05
Space group: Pmc2_1 (26)

Unit cell a=4.127 b=5.194 c=8.856 alpha=90.00 beta=90.00 gamma=90.00
Positions (direct):
K (0.000, 0.108, 0.000)
K (0.000, 0.892, 0.500)
H (0.190, 0.401, 0.680)
H (0.190, 0.599, 0.180)
H (0.500, 0.274, 0.292)
H (0.500, 0.361, 0.463)
H (0.500, 0.639, 0.963)
H (0.500, 0.726, 0.792)
H (0.810, 0.401, 0.680)
H (0.810, 0.599, 0.180)
O (0.000, 0.297, 0.712)
O (0.000, 0.703, 0.212)
O (0.500, 0.208, 0.396)
O (0.500, 0.792, 0.896)
F (0.500, 0.408, 0.111)
F (0.500, 0.592, 0.611)